Below is a relaxed structure of CaTaBiO5, with properties calculated at the PBE level.

Calculated values
total magnetization = 0.000 μB per atom
E (MP2020) = -262.14 eV per cell
calculated total energy = -7.762 eV/atom
energy above the lowest structure with this stoichiometry = 0.0153 eV per atom
energy of formation = -2.880 eV/atom

Cell lengths 5.882, 8.625, 12.143 Å; angles 90.00, 90.00, 109.73 degrees
Element x y z (fractional)
Ca: 0.865 0.321 0.415
Ca: 0.365 0.821 0.085
Ca: 0.635 0.179 0.915
Ca: 0.135 0.679 0.585
O: 0.056 0.319 0.947
O: 0.804 0.495 0.279
O: 0.759 0.987 0.026
O: 0.964 0.167 0.567
O: 0.036 0.833 0.433
O: 0.741 0.513 0.526
O: 0.944 0.681 0.053
O: 0.696 0.005 0.779
O: 0.523 0.367 0.817
O: 0.464 0.667 0.933
O: 0.536 0.333 0.067
O: 0.444 0.181 0.447
O: 0.259 0.487 0.474
O: 0.241 0.013 0.974
O: 0.196 0.505 0.721
O: 0.977 0.133 0.317
O: 0.556 0.819 0.553
O: 0.477 0.633 0.183
O: 0.304 0.995 0.221
O: 0.023 0.867 0.683
Ta: 0.694 0.533 0.141
Ta: 0.194 0.033 0.359
Ta: 0.306 0.467 0.859
Ta: 0.806 0.967 0.641
Bi: 0.625 0.660 0.410
Bi: 0.875 0.840 0.910
Bi: 0.125 0.160 0.090
Bi: 0.375 0.340 0.590



Below is a relaxed structure of SbO2, with properties calculated at the PBE level.

Calculated values
total magnetization = 0.000 μB per atom
E (MP2020) = -148.14 eV per cell
calculated total energy = -5.715 eV/atom
energy of formation = -1.498 eV/atom

Cell lengths 7.485, 7.485, 7.485 Å; angles 60.00, 60.00, 60.00 degrees
Element x y z (fractional)
O: 0.729 0.729 0.271
O: 0.271 0.729 0.271
O: 0.250 0.250 0.250
O: 0.271 0.729 0.729
O: 0.979 0.979 0.521
O: 0.729 0.271 0.271
O: 0.000 0.000 0.000
O: 0.521 0.979 0.979
O: 0.521 0.521 0.979
O: 0.500 0.500 0.500
O: 0.979 0.521 0.521
O: 0.979 0.521 0.979
O: 0.729 0.271 0.729
O: 0.271 0.271 0.729
O: 0.750 0.750 0.750
O: 0.521 0.979 0.521
Sb: 0.125 0.125 0.625
Sb: 0.625 0.625 0.625
Sb: 0.625 0.125 0.125
Sb: 0.125 0.625 0.625
Sb: 0.625 0.625 0.125
Sb: 0.125 0.125 0.125
Sb: 0.125 0.625 0.125
Sb: 0.625 0.125 0.625



Below is a relaxed structure of Sb2O5, with properties calculated at the PBE level.

Calculated values
E (MP2020) = -89.94 eV per cell
calculated total energy = -5.934 eV/atom
energy above the lowest structure with this stoichiometry = 0.0375 eV per atom
energy of formation = -1.711 eV/atom

Cell lengths 5.499, 5.499, 9.790 Å; angles 90.00, 90.00, 137.35 degrees
Element x y z (fractional)
O: 0.184 0.816 0.965
O: 0.816 0.184 0.465
O: 0.550 0.450 0.120
O: 0.816 0.184 0.035
O: 0.708 0.292 0.750
O: 0.450 0.550 0.880
O: 0.292 0.708 0.250
O: 0.550 0.450 0.380
O: 0.184 0.816 0.535
O: 0.450 0.550 0.620
Sb: 0.365 0.635 0.064
Sb: 0.365 0.635 0.436
Sb: 0.635 0.365 0.936
Sb: 0.635 0.365 0.564